(1)
VASP calculation (PBE) on Na3P4O12 after structural relaxation.

Values from the calculation:
Symmetry: No. 14

Unit cell a=10.093 b=8.845 c=14.532 alpha=52.48 beta=90.00 gamma=90.00
Fractional coordinates of all 76 atoms:
O 0.868 0.079 0.915
O 0.656 0.502 0.138
O 0.625 0.015 0.885
O 0.634 0.125 0.618
O 0.814 0.695 0.172
O 0.686 0.339 0.808
O 0.631 0.555 0.524
O 0.125 0.985 0.615
O 0.131 0.445 0.976
O 0.644 0.704 0.916
O 0.366 0.875 0.382
O 0.328 0.639 0.967
O 0.832 0.092 0.522
O 0.314 0.305 0.328
O 0.686 0.695 0.672
O 0.391 0.488 0.696
O 0.168 0.908 0.478
O 0.814 0.339 0.308
O 0.156 0.498 0.362
O 0.844 0.502 0.638
O 0.132 0.921 0.085
O 0.344 0.498 0.862
O 0.632 0.079 0.415
O 0.314 0.661 0.192
O 0.132 0.973 0.286
O 0.186 0.661 0.692
O 0.356 0.296 0.084
O 0.866 0.125 0.118
O 0.109 0.488 0.196
O 0.368 0.921 0.585
O 0.672 0.361 0.033
O 0.868 0.027 0.714
O 0.375 0.985 0.115
O 0.332 0.908 0.978
O 0.186 0.305 0.828
O 0.869 0.555 0.024
O 0.668 0.092 0.022
O 0.856 0.704 0.416
O 0.134 0.875 0.882
O 0.369 0.445 0.476
O 0.875 0.015 0.385
O 0.144 0.296 0.584
O 0.891 0.512 0.804
O 0.609 0.512 0.304
O 0.368 0.973 0.786
O 0.172 0.639 0.467
O 0.828 0.361 0.533
O 0.632 0.027 0.214
Na 0.983 0.763 0.040
Na 0.514 0.733 0.321
Na 0.468 0.185 0.253
Na 0.014 0.267 0.179
Na 0.532 0.815 0.747
Na 0.483 0.237 0.460
Na 0.517 0.763 0.540
Na 0.032 0.185 0.753
Na 0.017 0.237 0.960
Na 0.986 0.733 0.821
Na 0.968 0.815 0.247
Na 0.486 0.267 0.679
P 0.721 0.530 0.230
P 0.778 0.120 0.409
P 0.220 0.457 0.479
P 0.222 0.880 0.591
P 0.280 0.457 0.979
P 0.722 0.120 0.909
P 0.282 0.863 0.891
P 0.718 0.137 0.109
P 0.779 0.530 0.730
P 0.278 0.880 0.091
P 0.782 0.137 0.609
P 0.279 0.470 0.770
P 0.780 0.543 0.521
P 0.221 0.470 0.270
P 0.720 0.543 0.021
P 0.218 0.863 0.391


(2)
VASP calculation (PBE) on NaPO3 after structural relaxation.

Values from the calculation:
Symmetry: No. 62

Unit cell a=7.807 b=8.031 c=13.420 alpha=90.00 beta=90.00 gamma=90.00
Fractional coordinates of all 60 atoms:
Na 0.183 0.994 0.573
Na 0.317 0.494 0.073
Na 0.463 0.250 0.723
Na 0.183 0.506 0.573
Na 0.963 0.250 0.777
Na 0.817 0.494 0.427
Na 0.317 0.006 0.073
Na 0.817 0.006 0.427
Na 0.683 0.994 0.927
Na 0.683 0.506 0.927
Na 0.537 0.750 0.277
Na 0.037 0.750 0.223
O 0.605 0.463 0.098
O 0.274 0.750 0.777
O 0.219 0.056 0.748
O 0.719 0.444 0.752
O 0.573 0.593 0.610
O 0.137 0.750 0.052
O 0.395 0.537 0.902
O 0.427 0.093 0.390
O 0.073 0.593 0.890
O 0.927 0.093 0.110
O 0.105 0.463 0.402
O 0.605 0.037 0.098
O 0.927 0.407 0.110
O 0.427 0.407 0.390
O 0.073 0.907 0.890
O 0.333 0.750 0.528
O 0.363 0.250 0.552
O 0.167 0.250 0.028
O 0.833 0.750 0.972
O 0.637 0.750 0.448
O 0.781 0.556 0.252
O 0.895 0.537 0.598
O 0.726 0.250 0.223
O 0.395 0.963 0.902
O 0.226 0.250 0.277
O 0.863 0.250 0.948
O 0.667 0.250 0.472
O 0.219 0.444 0.748
O 0.281 0.944 0.248
O 0.573 0.907 0.610
O 0.105 0.037 0.402
O 0.781 0.944 0.252
O 0.281 0.556 0.248
O 0.719 0.056 0.752
O 0.774 0.750 0.723
O 0.895 0.963 0.598
P 0.746 0.432 0.171
P 0.246 0.432 0.329
P 0.754 0.568 0.671
P 0.246 0.068 0.329
P 0.254 0.932 0.829
P 0.754 0.932 0.671
P 0.524 0.750 0.538
P 0.976 0.250 0.038
P 0.254 0.568 0.829
P 0.746 0.068 0.171
P 0.024 0.750 0.962
P 0.476 0.250 0.462


The formation energy from the elements results, record by record, are as follows: -2.50; -2.64 eV per atom.